# 1
## Li4V3P8O29 (PBE+U)

Data for an optimized crystal structure of Li4V3P8O29.

Cell: 9.750 9.779 14.240 Å, 90.71 90.18 119.68°
Fractional coordinates of all 88 atoms:
Li 0.911 0.683 0.440
Li 0.089 0.318 0.565
Li 0.777 0.083 0.442
Li 0.768 0.682 0.934
Li 0.223 0.916 0.562
Li 0.232 0.329 0.059
Li 0.002 0.000 0.994
Li 0.672 0.327 0.104
O 0.910 0.650 0.167
O 0.477 0.660 0.677
O 0.898 0.370 0.167
O 0.012 0.801 0.740
O 0.222 0.228 0.582
O 0.338 0.678 0.529
O 0.991 0.749 0.567
O 0.333 0.512 0.175
O 0.788 0.988 0.740
O 0.225 0.245 0.937
O 0.663 0.920 0.335
O 0.781 0.773 0.417
O 0.807 0.327 0.830
O 0.337 0.818 0.680
O 0.916 0.253 0.664
O 0.383 0.906 0.315
O 0.617 0.515 0.171
O 0.817 0.484 0.332
O 0.388 0.475 0.826
O 0.254 0.341 0.335
O 0.248 0.990 0.437
O 0.661 0.341 0.976
O 0.772 0.751 0.062
O 0.513 0.190 0.829
O 0.984 0.200 0.260
O 0.216 0.017 0.261
O 0.342 0.652 0.027
O 0.341 0.261 0.165
O 0.997 0.808 0.917
O 0.738 0.078 0.163
O 0.671 0.491 0.831
O 0.192 0.670 0.172
O 0.783 0.795 0.238
O 0.528 0.621 0.321
O 0.485 0.811 0.174
O 0.806 0.998 0.921
O 0.006 0.204 0.084
O 0.006 0.251 0.435
O 0.543 0.925 0.832
O 0.079 0.623 0.835
O 0.095 0.478 0.322
O 0.468 0.091 0.168
O 0.084 0.751 0.335
O 0.522 0.338 0.323
O 0.742 0.655 0.666
O 0.617 0.097 0.684
O 0.260 0.918 0.835
O 0.181 0.518 0.668
O 0.662 0.323 0.472
O 0.665 0.183 0.320
O 0.475 0.378 0.679
O 0.199 0.000 0.080
O 0.658 0.742 0.834
O 0.093 0.350 0.830
O 0.902 0.520 0.678
O 0.752 0.009 0.565
O 0.216 0.201 0.761
O 0.340 0.080 0.664
P 0.702 0.919 0.839
P 0.912 0.678 0.658
P 0.233 0.916 0.344
P 0.332 0.660 0.130
P 0.085 0.320 0.344
P 0.690 0.775 0.335
P 0.767 0.087 0.657
P 0.302 0.084 0.161
P 0.667 0.339 0.870
P 0.912 0.218 0.161
P 0.233 0.319 0.845
P 0.329 0.668 0.633
P 0.767 0.677 0.153
P 0.312 0.223 0.665
P 0.085 0.782 0.839
P 0.670 0.332 0.368
V 0.563 0.993 0.243
V 0.003 0.571 0.247
V 0.440 0.005 0.760
V 0.430 0.430 0.256
V 0.564 0.567 0.745
V 0.997 0.432 0.755

Energy above the most stable polymorph in this dataset ... 11 meV/atom
Symmetry ... P1
Calculated density ... 2.51 g cm⁻³
V ... 13.4 Å³/atom
ΔE_f ... -2572.3 meV per atom
Magnetization ... 2.00 μB/cell



# 2
## BaSrTbWO6 (PBE+U)

Data for an optimized crystal structure of BaSrTbWO6.

Cell: 5.999 5.999 5.999 Å, 60.00 60.00 60.00°
Fractional coordinates of all 10 atoms:
O 0.264 0.736 0.264
O 0.264 0.736 0.736
O 0.736 0.736 0.264
O 0.264 0.264 0.736
O 0.736 0.264 0.736
O 0.736 0.264 0.264
W 0.500 0.500 0.500
Tb 0.000 0.000 0.000
Ba 0.750 0.750 0.750
Sr 0.250 0.250 0.250

Energy above the most stable polymorph in this dataset ... 87 meV/atom
Symmetry ... F-43m
Calculated density ... 7.22 g cm⁻³
V ... 15.3 Å³/atom
ΔE_f ... -3046.0 meV per atom
Magnetization ... 1.00 μB/cell



# 3
## Ba2YFe2F11 (PBE+U)

Data for an optimized crystal structure of Ba2YFe2F11.

Cell: 7.923 7.923 13.718 Å, 90.00 90.00 120.00°
Fractional coordinates of all 48 atoms:
F 0.028 0.715 0.524
F 0.899 0.966 0.179
F 0.292 0.820 0.902
F 0.687 0.972 0.858
F 0.415 0.409 0.408
F 0.804 0.636 0.341
F 0.034 0.933 0.845
F 0.529 0.708 0.236
F 0.201 0.389 0.869
F 0.187 0.799 0.202
F 0.309 0.960 0.676
F 0.067 0.101 0.512
F 0.327 0.726 0.393
F 0.832 0.196 0.674
F 0.617 0.458 0.594
F 0.364 0.168 0.007
F 0.841 0.383 0.928
F 0.274 0.601 0.060
F 0.611 0.813 0.535
F 0.424 0.087 0.491
F 0.913 0.337 0.158
F 0.285 0.313 0.191
F 0.007 0.763 0.031
F 0.994 0.585 0.741
F 0.237 0.245 0.698
F 0.651 0.691 0.010
F 0.663 0.576 0.824
F 0.040 0.349 0.343
F 0.755 0.993 0.364
F 0.542 0.159 0.261
F 0.180 0.471 0.569
F 0.591 0.006 0.075
F 0.399 0.673 0.726
Fe 0.694 0.033 0.219
Fe 0.595 0.701 0.390
Fe 0.299 0.894 0.056
Fe 0.339 0.306 0.553
Fe 0.106 0.405 0.723
Fe 0.967 0.661 0.886
Y 0.468 0.673 0.893
Y 0.205 0.532 0.226
Y 0.327 0.795 0.560
Ba 0.674 0.487 0.149
Ba 0.887 0.858 0.665
Ba 0.513 0.187 0.816
Ba 0.142 0.029 0.332
Ba 0.971 0.113 0.998
Ba 0.813 0.326 0.482

Symmetry ... P3_2
Calculated density ... 4.57 g cm⁻³
V ... 15.5 Å³/atom
ΔE_f ... -3590.7 meV per atom
Magnetization ... 24.00 μB/cell



# 4
## Li2MnCo3O8 (PBE+U)

Data for an optimized crystal structure of Li2MnCo3O8.

Cell: 5.671 5.680 9.163 Å, 89.72 90.14 120.05°
Fractional coordinates of all 28 atoms:
Co 0.659 0.831 0.214
Co 0.169 0.341 0.214
Co 0.831 0.171 0.714
Co 0.831 0.662 0.711
Co 0.341 0.171 0.714
Co 0.169 0.831 0.211
O 0.160 0.831 0.604
O 0.329 0.161 0.103
O 0.840 0.671 0.104
O 0.671 0.832 0.603
O 0.165 0.330 0.599
O 0.835 0.165 0.099
O 0.668 0.335 0.608
O 0.523 0.483 0.838
O 0.477 0.960 0.338
O 0.040 0.523 0.337
O 0.000 0.999 0.308
O 0.000 0.999 0.808
O 0.520 0.039 0.839
O 0.480 0.520 0.339
O 0.960 0.483 0.837
O 0.332 0.667 0.108
Mn 0.668 0.329 0.985
Mn 0.332 0.661 0.485
Li 0.665 0.334 0.396
Li 0.998 0.000 0.998
Li 0.335 0.668 0.896
Li 0.002 0.002 0.498

Energy above the most stable polymorph in this dataset ... 56 meV/atom
Symmetry ... Cc
Calculated density ... 4.86 g cm⁻³
V ... 9.1 Å³/atom
ΔE_f ... -1622.4 meV per atom
Magnetization ... 8.00 μB/cell



# 5
## YTaW2O8 (PBE+U)

Data for an optimized crystal structure of YTaW2O8.

Cell: 5.842 5.474 10.981 Å, 61.98 90.00 90.00°
Fractional coordinates of all 24 atoms:
O 0.598 0.750 0.867
O 0.642 0.796 0.141
O 0.113 0.294 0.619
O 0.358 0.204 0.859
O 0.642 0.204 0.359
O 0.402 0.250 0.133
O 0.113 0.706 0.881
O 0.402 0.750 0.367
O 0.598 0.250 0.633
O 0.887 0.294 0.119
O 0.887 0.706 0.381
O 0.113 0.814 0.103
O 0.887 0.186 0.897
O 0.113 0.186 0.397
O 0.358 0.796 0.641
O 0.887 0.814 0.603
W 0.849 0.245 0.500
W 0.151 0.245 0.000
W 0.849 0.755 0.000
W 0.151 0.755 0.500
Ta 0.662 0.000 0.250
Ta 0.338 0.000 0.750
Y 0.665 0.500 0.750
Y 0.335 0.500 0.250

Energy above the most stable polymorph in this dataset ... 0 meV/atom
Symmetry ... P2/c
Calculated density ... 8.20 g cm⁻³
V ... 12.9 Å³/atom
ΔE_f ... -2789.0 meV per atom
Magnetization ... 8.00 μB/cell



# 6
## Li7Mn5O12 (PBE+U)

Data for an optimized crystal structure of Li7Mn5O12.

Cell: 6.040 9.857 8.684 Å, 69.06 109.75 85.78°
Fractional coordinates of all 48 atoms:
O 0.566 0.828 0.598
O 0.688 0.651 0.433
O 0.271 0.842 0.066
O 0.771 0.341 0.569
O 0.440 0.674 0.905
O 0.808 0.851 0.061
O 0.064 0.829 0.597
O 0.893 0.495 0.247
O 0.729 0.158 0.934
O 0.032 0.307 0.105
O 0.192 0.149 0.939
O 0.095 0.001 0.236
O 0.229 0.659 0.431
O 0.633 0.024 0.238
O 0.968 0.693 0.895
O 0.312 0.349 0.567
O 0.905 0.000 0.763
O 0.936 0.171 0.403
O 0.367 0.977 0.762
O 0.560 0.326 0.095
O 0.107 0.505 0.753
O 0.400 0.498 0.263
O 0.599 0.502 0.737
O 0.434 0.172 0.402
Li 0.921 0.335 0.830
Li 0.748 0.002 0.496
Li 0.257 0.511 0.992
Li 0.592 0.180 0.661
Li 0.599 0.658 0.180
Li 0.743 0.488 0.008
Li 0.407 0.820 0.339
Li 0.090 0.163 0.679
Li 0.000 0.500 0.500
Li 0.079 0.665 0.170
Li 0.910 0.837 0.321
Li 0.252 0.997 0.504
Li 0.401 0.341 0.820
Li 0.500 0.000 0.000
Mn 0.176 0.838 0.833
Mn 0.500 0.500 0.500
Mn 0.835 0.663 0.666
Mn 0.165 0.337 0.334
Mn 0.675 0.339 0.334
Mn 0.000 0.000 0.000
Mn 0.669 0.837 0.832
Mn 0.824 0.163 0.167
Mn 0.331 0.162 0.168
Mn 0.325 0.661 0.666

Energy above the most stable polymorph in this dataset ... 18 meV/atom
Symmetry ... P-1
Calculated density ... 3.86 g cm⁻³
V ... 9.2 Å³/atom
ΔE_f ... -2138.4 meV per atom
Magnetization ... 36.00 μB/cell